Record 1
HfMg16Al12: optimized geometry, PBE.

Structure (extended XYZ):
```
29
Lattice="7.518 4.341 2.938 -7.518 4.341 2.938 0.000 -8.681 2.938" Properties=species:S:1:pos:R:3 pbc="T T T"
Hf 0.000 0.000 0.000
Mg -2.215 -3.994 2.850
Mg -4.567 0.079 2.850
Mg 0.000 -5.852 4.035
Mg -5.068 2.926 4.035
Mg -2.552 -1.474 4.503
Mg 2.215 -3.994 2.850
Mg -2.351 3.915 2.850
Mg -4.476 -2.584 6.572
Mg 2.552 -1.474 4.503
Mg 0.000 2.947 4.503
Mg 4.567 0.079 2.850
Mg 2.351 3.915 2.850
Mg 0.000 0.000 5.568
Mg 5.068 2.926 4.035
Mg 4.476 -2.584 6.572
Mg 0.000 5.169 6.572
Al 0.000 -1.574 2.757
Al -1.363 0.787 2.757
Al 1.363 0.787 2.757
Al 0.000 -3.165 4.930
Al -2.741 1.582 4.930
Al -1.361 -2.322 7.197
Al -2.692 -0.018 7.197
Al 2.741 1.582 4.930
Al 1.361 -2.322 7.197
Al -1.331 2.340 7.197
Al 2.692 -0.018 7.197
Al 1.331 2.340 7.197
```

## Properties
As for the crystal system: trigonal. Its final energy is -2.812 eV per atom.

Record 2
Ba2B11H7O22: optimized geometry, PBE.

Structure (extended XYZ):
```
84
Lattice="6.880 0.000 0.000 3.434 5.995 0.000 2.849 0.773 21.842" Properties=species:S:1:pos:R:3 pbc="T T T"
Ba 1.741 0.917 1.283
Ba 4.869 2.497 12.078
Ba 8.294 4.271 9.765
Ba 11.421 5.851 20.560
B 1.608 1.104 4.699
B 2.553 1.175 9.209
B 6.149 6.019 12.539
B 5.112 4.839 8.821
B 4.625 1.826 19.876
B 4.051 3.805 1.667
B 5.001 3.514 6.720
B 4.689 0.713 17.681
B 6.693 3.380 20.276
B 4.940 2.316 8.868
B 8.231 5.290 19.730
B 4.932 1.478 2.112
B 8.222 4.452 12.974
B 6.469 3.388 1.567
B 8.474 6.055 4.161
B 8.161 3.254 15.122
B 9.111 2.963 20.175
B 8.537 4.942 1.966
B 8.050 1.929 13.021
B 7.013 0.749 9.303
B 10.610 5.593 12.633
B 11.555 5.664 17.143
H 4.732 3.635 17.717
H 1.619 0.320 6.523
H 4.828 3.876 15.087
H 5.098 5.052 4.524
H 4.805 2.284 15.380
H 4.991 2.714 4.822
H 8.123 5.999 15.780
H 5.040 0.769 6.063
H 8.171 4.054 17.020
H 8.357 4.484 6.462
H 8.064 1.716 17.318
H 8.335 2.892 6.756
H 11.543 6.448 15.320
H 8.431 3.133 4.125
O 4.755 4.584 17.979
O 3.095 4.769 1.490
O 1.613 1.209 6.073
O 2.457 1.369 12.495
O 5.073 5.133 12.624
O 3.504 2.145 9.364
O 5.114 5.907 4.011
O 5.404 2.953 20.479
O 4.997 4.733 7.359
O 4.678 1.880 18.406
O 4.905 2.981 14.682
O 6.213 5.828 9.125
O 6.940 4.723 20.213
O 3.840 2.469 1.816
O 5.442 3.569 9.455
O 5.011 3.560 5.338
O 4.666 0.838 16.298
O 8.554 6.543 20.400
O 5.389 4.268 1.616
O 4.984 2.315 7.403
O 7.453 5.610 12.414
O 8.151 5.459 18.252
O 5.011 1.309 3.591
O 5.710 1.158 9.428
O 8.179 4.453 14.440
O 7.774 2.500 20.226
O 4.609 0.225 1.442
O 8.497 5.930 5.544
O 8.151 3.208 16.505
O 7.720 3.199 12.388
O 9.323 4.299 20.026
O 6.222 2.045 1.630
O 6.949 0.940 12.717
O 8.257 3.787 7.160
O 8.484 4.888 3.436
O 8.165 2.035 14.483
O 7.758 3.815 1.364
O 8.048 0.861 17.831
O 9.659 4.623 12.478
O 8.089 1.635 9.218
O 10.706 5.399 9.347
O 11.549 5.559 15.770
O 10.067 1.999 20.353
O 8.407 2.184 3.863
```

## Properties
As for the crystal system: triclinic. Its final energy is -7.209 eV per atom.

Record 3
TmAl8Fe4: optimized geometry, PBE.

Structure (extended XYZ):
```
13
Lattice="-4.336 4.336 2.514 4.336 -4.336 2.514 4.336 4.336 -2.514" Properties=species:S:1:pos:R:3 pbc="T T T"
Tm 0.000 0.000 0.000
Al 2.930 0.000 0.000
Al 5.742 0.000 0.000
Al 4.336 2.434 0.000
Al 0.000 2.930 0.000
Al 2.434 4.336 0.000
Al 1.902 0.000 2.514
Al 0.000 5.742 0.000
Al 0.000 1.902 2.514
Fe 2.168 2.168 -1.257
Fe 2.168 -2.168 1.257
Fe -2.168 2.168 1.257
Fe 2.168 2.168 1.257
```

## Properties
As for the crystal system: tetragonal. Its final energy is -5.684 eV per atom.

Record 4
GdCO4: optimized geometry, PBE.

Structure (extended XYZ):
```
24
Lattice="4.938 0.000 0.000 0.000 7.283 0.000 0.000 0.000 8.365" Properties=species:S:1:pos:R:3 pbc="T T T"
Gd 0.010 0.785 1.412
Gd 2.459 6.498 5.594
Gd 2.480 2.856 6.953
Gd 4.928 4.427 2.770
C 0.014 0.368 6.868
C 2.455 6.915 2.686
C 2.483 3.274 1.496
C 4.924 4.010 5.679
O 0.041 3.267 6.717
O 0.100 5.831 1.019
O 1.055 4.367 5.048
O 1.175 0.709 7.353
O 1.294 6.575 3.170
O 1.414 2.917 0.866
O 2.369 1.453 5.201
O 2.428 4.017 2.535
O 2.510 0.375 1.648
O 2.569 5.094 7.346
O 3.524 6.558 3.316
O 3.644 2.933 1.012
O 3.763 4.350 5.195
O 3.883 0.725 7.499
O 4.838 2.189 3.164
O 4.897 6.908 5.830
```

## Properties
As for the crystal system: orthorhombic. Its final energy is -9.175 eV per atom.

Record 5
NaTaTiSi2SO12: optimized geometry, PBE.

Structure (extended XYZ):
```
108
Lattice="8.850 0.000 0.000 -4.425 7.595 -0.085 0.000 -0.252 22.717" Properties=species:S:1:pos:R:3 pbc="T T T"
Na 0.047 -0.073 11.299
Na 8.803 -0.198 22.657
Na 4.472 2.375 18.843
Na 4.378 2.501 7.485
Na 0.047 5.075 3.670
Na -0.047 4.949 15.029
Ta -4.400 7.393 14.573
Ta 4.400 7.519 3.214
Ta 4.449 2.246 22.201
Ta 4.400 2.372 10.843
Ta 0.024 4.946 7.029
Ta -0.024 4.820 18.387
Ti -4.213 7.413 7.969
Ti 4.213 7.287 19.328
Ti 4.636 2.265 15.598
Ti 4.213 2.391 4.240
Ti 0.211 4.965 0.425
Ti -0.211 4.839 11.784
Si -1.864 7.515 5.588
Si 3.191 5.327 5.638
Si 5.658 5.201 16.997
Si 1.864 7.389 16.946
Si 6.985 2.368 13.217
Si 3.191 0.179 13.267
Si 5.658 0.305 1.909
Si 1.864 2.494 1.858
Si 2.560 4.816 20.761
Si -1.234 2.627 20.811
Si 1.234 2.753 9.453
Si -2.560 4.942 9.402
S 7.549 2.098 5.683
S 1.301 1.972 17.041
S 3.124 4.546 13.227
S 5.725 4.672 1.868
S -1.301 6.993 20.771
S 1.301 7.119 9.412
O 1.629 0.168 6.989
O 3.811 6.097 6.931
O 7.803 1.305 6.868
O 1.046 1.179 18.226
O 5.039 5.971 18.289
O 7.221 0.042 18.347
O 2.841 7.199 15.650
O 0.656 1.399 15.805
O -3.421 6.163 15.670
O 3.421 6.289 4.312
O -0.656 1.525 4.447
O -2.841 7.325 4.291
O 6.053 2.616 14.533
O 3.811 0.949 14.559
O 3.378 3.752 14.412
O 5.471 3.878 3.054
O 5.039 1.075 3.201
O 2.796 2.742 3.175
O 2.841 2.303 0.562
O 5.081 4.098 0.632
O 5.428 1.268 0.582
O 3.421 1.142 11.941
O 3.769 3.973 11.991
O 6.008 2.177 11.920
O 1.629 5.064 22.077
O -0.614 3.397 22.103
O -1.046 6.200 21.956
O 1.046 6.326 10.598
O 0.614 3.523 10.745
O -1.629 5.190 10.719
O -1.583 4.751 8.106
O 0.656 6.546 8.176
O 1.003 3.715 8.126
O -1.003 3.589 19.485
O -0.656 6.420 19.535
O 1.583 4.625 19.464
O -3.513 6.255 9.242
O 2.733 7.326 9.218
O 0.526 1.308 9.252
O -0.526 1.182 20.611
O -2.733 7.200 20.576
O 3.513 6.129 20.600
O 7.926 1.051 13.433
O 1.555 0.021 13.447
O 3.794 5.908 13.312
O 5.056 6.034 1.954
O 7.294 0.147 2.088
O 0.924 1.177 2.074
O 5.337 1.108 16.871
O 2.733 2.179 16.846
O 4.950 3.756 16.796
O 3.899 3.882 5.438
O 6.117 2.305 5.488
O 3.513 1.234 5.512
O 3.501 3.499 20.977
O 5.980 2.469 20.991
O 3.794 0.760 20.941
O 5.056 0.886 9.583
O 2.870 2.595 9.632
O 5.349 3.625 9.618
O 0.912 3.807 1.698
O -1.692 4.879 1.673
O 0.526 6.456 1.624
O -0.526 6.330 12.982
O 1.692 4.753 13.032
O -0.912 3.681 13.056
O -0.924 6.198 5.804
O 1.555 5.169 5.818
O -0.631 3.460 5.768
O 0.631 3.334 17.127
O -1.555 5.043 17.176
O 0.924 6.072 17.162
```

## Properties
Its final energy is -7.760 eV per atom.